# ErSi

A relaxed structure of ErSi (r2SCAN, the Materials Project).

Unit cell a=5.6182 b=5.6182 c=3.7873 alpha=90.00 beta=90.00 gamma=135.88
Fractional positions:
Er  0.1407  0.8593  0.7500
Er  0.8593  0.1407  0.2500
Si  0.4230  0.5770  0.7500
Si  0.5770  0.4230  0.2500

- magnetization (μB/cell) = 0.00
- ΔE_f (eV/atom) = -0.88